1.
{
  "formula": "Hf2N2O",
  "functional": "PBE",
  "state": "optimized geometry",
  "energy_ry_per_atom": -0.7761,
  "space_group": "P1, No. 1",
  "lattice_angstrom": [[-6.164, 3.140, 5.291], [0.325, -8.683, 0.760], [7.737, 3.384, 2.216]],
  "species": ["O", "O", "N", "Hf", "N", "N", "N", "N", "Hf", "N", "N", "N", "N", "N", "Hf", "N", "Hf", "N", "Hf", "Hf", "Hf", "O", "Hf", "N", "N", "Hf", "N", "Hf", "O", "Hf", "Hf", "Hf", "O", "O", "N", "O", "Hf", "Hf", "O", "Hf"],
  "frac_coords": [[0.535, 0.262, 0.487], [0.950, 0.722, 0.465], [0.512, 0.775, 0.043], [0.001, 0.008, 0.501], [0.230, 0.455, 0.992], [0.771, 0.729, 0.738], [0.454, 0.483, 0.725], [0.035, 0.045, 0.771], [0.034, 0.789, 0.757], [0.237, 0.771, 0.224], [0.462, 0.734, 0.511], [0.965, 0.953, 0.223], [0.273, 0.031, 0.545], [0.493, 0.233, 0.959], [0.282, 0.242, 0.026], [0.725, 0.235, 0.271], [0.465, 0.718, 0.249], [0.262, 0.987, 0.035], [0.792, 0.252, 0.533], [0.965, 0.218, 0.255], [0.523, 0.279, 0.746], [0.737, 0.014, 0.962], [0.714, 0.751, 0.966], [0.988, 0.533, 0.761], [0.008, 0.464, 0.235], [0.243, 0.027, 0.284], [0.728, 0.968, 0.457], [0.496, 0.003, 0.008], [0.232, 0.275, 0.263], [0.750, 0.962, 0.707], [0.251, 0.534, 0.791], [0.751, 0.456, 0.213], [0.755, 0.227, 0.773], [0.270, 0.765, 0.726], [0.048, 0.273, 0.532], [0.551, 0.512, 0.279], [0.217, 0.747, 0.457], [0.014, 0.506, 0.004], [0.773, 0.546, 0.012], [0.506, 0.513, 0.516]]
}

---

2.
{
  "formula": "Hf2N2O",
  "functional": "PBE",
  "state": "optimized geometry",
  "energy_ry_per_atom": -0.7757,
  "space_group": "P1, No. 1",
  "lattice_angstrom": [[8.689, 0.000, 0.000], [-2.888, 8.239, 0.000], [-2.897, -4.102, 7.164]],
  "species": ["O", "N", "N", "N", "N", "Hf", "N", "Hf", "Hf", "O", "N", "N", "Hf", "Hf", "O", "Hf", "N", "N", "N", "O", "Hf", "N", "N", "N", "O", "N", "Hf", "O", "Hf", "O", "Hf", "O", "Hf", "Hf", "N", "Hf", "Hf", "Hf", "N", "Hf"],
  "frac_coords": [[0.451, 0.967, 0.724], [0.512, 0.744, 0.470], [0.533, 0.275, 0.040], [0.238, 0.464, 0.012], [0.468, 0.726, 0.951], [0.470, 0.748, 0.215], [0.734, 0.763, 0.272], [0.990, 0.001, 0.491], [0.490, 0.491, 0.489], [0.750, 0.731, 0.778], [0.225, 0.955, 0.965], [0.273, 0.516, 0.549], [0.713, 0.969, 0.750], [0.256, 0.214, 0.973], [0.059, 0.785, 0.525], [0.776, 0.527, 0.249], [0.730, 0.493, 0.457], [0.485, 0.263, 0.538], [0.988, 0.464, 0.231], [0.758, 0.536, 0.978], [0.252, 0.707, 0.465], [0.543, 0.032, 0.272], [0.954, 0.222, 0.488], [0.774, 0.042, 0.031], [0.040, 0.985, 0.268], [0.012, 0.546, 0.775], [0.005, 0.492, 0.996], [0.222, 0.774, 0.235], [0.748, 0.286, 0.535], [0.267, 0.228, 0.724], [0.211, 0.465, 0.751], [0.960, 0.006, 0.729], [0.032, 0.259, 0.286], [0.501, 0.000, 0.011], [0.774, 0.228, 0.769], [0.543, 0.253, 0.786], [0.292, 0.041, 0.251], [0.742, 0.788, 0.033], [0.260, 0.272, 0.229], [0.967, 0.742, 0.714]]
}

---

3.
{
  "formula": "Hf2N2O",
  "functional": "PBE",
  "state": "optimized geometry",
  "energy_ry_per_atom": -0.7697,
  "space_group": "I4_1/amd, No. 141",
  "lattice_angstrom": [[-3.211, 3.211, 13.664], [3.211, -3.211, 13.664], [3.211, 3.211, -13.664]],
  "species": ["Hf", "Hf", "Hf", "O", "Hf", "Hf", "N", "N", "N", "N", "O", "Hf", "N", "Hf", "N", "O", "O", "N", "N", "Hf", "O", "Hf", "Hf", "N", "O", "O", "N", "N", "N", "Hf", "N", "Hf", "N", "N", "Hf", "Hf", "Hf", "N", "Hf", "O"],
  "frac_coords": [[0.418, 0.918, 0.500], [0.541, 0.792, 0.749], [0.875, 0.125, 0.250], [0.951, 0.658, 0.708], [0.208, 0.459, 0.251], [0.542, 0.293, 0.751], [0.113, 0.376, 0.737], [0.304, 0.538, 0.766], [0.110, 0.874, 0.237], [0.772, 0.538, 0.234], [0.993, 0.201, 0.792], [0.332, 0.332, 0.000], [0.126, 0.363, 0.237], [0.875, 0.625, 0.750], [0.640, 0.376, 0.263], [0.799, 0.592, 0.792], [0.408, 0.201, 0.208], [0.978, 0.712, 0.266], [0.446, 0.712, 0.734], [0.875, 0.125, 0.750], [0.342, 0.049, 0.292], [0.668, 0.668, 0.000], [0.082, 0.582, 0.500], [0.624, 0.887, 0.263], [0.757, 0.049, 0.708], [0.799, 0.007, 0.208], [0.288, 0.022, 0.734], [0.288, 0.554, 0.266], [0.462, 0.228, 0.766], [0.375, 0.125, 0.250], [0.624, 0.360, 0.737], [0.707, 0.458, 0.249], [0.637, 0.874, 0.763], [0.126, 0.890, 0.763], [0.208, 0.957, 0.749], [0.542, 0.791, 0.249], [0.043, 0.792, 0.251], [0.462, 0.696, 0.234], [0.209, 0.458, 0.751], [0.951, 0.243, 0.292]]
}

---

4.
{
  "formula": "Hf3N2O3",
  "functional": "PBE",
  "state": "optimized geometry",
  "e_ij_max_c_m2": 1.0,
  "energy_ry_per_atom": -0.7620,
  "relative_energy_kj_per_mol_fu": 54,
  "space_group": "Cmc2_1, No. 36",
  "lattice_angstrom": [[0.477, 5.122, -2.407], [-3.935, -4.011, 0.833], [-2.746, 4.623, 9.292]],
  "species": ["Hf", "O", "N", "O", "N", "Hf", "O", "O", "Hf", "N", "O", "N", "Hf", "Hf", "O", "Hf"],
  "frac_coords": [[0.863, 0.137, 0.440], [0.692, 0.308, 0.919], [0.953, 0.047, 0.885], [0.045, 0.955, 0.117], [0.295, 0.705, 0.076], [0.186, 0.814, 0.249], [0.755, 0.245, 0.261], [0.308, 0.692, 0.419], [0.865, 0.135, 0.053], [0.705, 0.295, 0.576], [0.955, 0.045, 0.617], [0.047, 0.953, 0.385], [0.137, 0.863, 0.940], [0.135, 0.865, 0.553], [0.245, 0.755, 0.761], [0.814, 0.186, 0.749]]
}

---

5.
{
  "formula": "Hf2N2O",
  "functional": "PBE",
  "state": "optimized geometry",
  "energy_ry_per_atom": -0.7758,
  "space_group": "P1, No. 1",
  "lattice_angstrom": [[-3.620, -7.900, -0.727], [2.291, 2.881, -7.916], [7.100, -0.502, 5.070]],
  "species": ["O", "O", "Hf", "N", "N", "Hf", "Hf", "Hf", "N", "Hf", "N", "N", "Hf", "Hf", "N", "Hf", "Hf", "N", "N", "N", "O", "Hf", "N", "Hf", "O", "O", "Hf", "O", "N", "Hf", "N", "Hf", "O", "Hf", "Hf", "N", "O", "N", "N", "N"],
  "frac_coords": [[0.737, 0.723, 0.773], [0.228, 0.953, 0.963], [0.533, 0.250, 0.787], [0.013, 0.551, 0.778], [0.774, 0.042, 0.031], [0.034, 0.258, 0.285], [0.487, 0.482, 0.490], [0.002, 0.490, 0.992], [0.730, 0.760, 0.272], [0.294, 0.043, 0.256], [0.952, 0.224, 0.484], [0.988, 0.462, 0.229], [0.744, 0.786, 0.037], [0.244, 0.705, 0.462], [0.729, 0.496, 0.458], [0.214, 0.464, 0.749], [0.999, 0.012, 0.509], [0.277, 0.519, 0.547], [0.535, 0.271, 0.042], [0.260, 0.267, 0.227], [0.757, 0.536, 0.980], [0.510, 0.004, 0.011], [0.271, 0.236, 0.724], [0.724, 0.975, 0.756], [0.512, 0.747, 0.471], [0.449, 0.964, 0.722], [0.776, 0.527, 0.248], [0.057, 0.778, 0.522], [0.469, 0.728, 0.954], [0.250, 0.218, 0.962], [0.486, 0.260, 0.533], [0.956, 0.741, 0.708], [0.228, 0.776, 0.243], [0.472, 0.750, 0.208], [0.752, 0.288, 0.538], [0.773, 0.228, 0.766], [0.037, 0.981, 0.262], [0.240, 0.468, 0.017], [0.964, 0.005, 0.736], [0.541, 0.032, 0.269]]
}

---

6.
{
  "formula": "Hf2N2O",
  "functional": "PBE",
  "state": "optimized geometry",
  "energy_ry_per_atom": -0.7707,
  "space_group": "C2/m, No. 12",
  "lattice_angstrom": [[2.456, -6.462, 1.342], [4.923, -4.522, 2.215], [-2.171, -0.769, 7.846]],
  "species": ["Hf", "Hf", "Hf", "Hf", "Hf", "N", "N", "O", "N", "O", "Hf", "N", "N", "N", "O"],
  "frac_coords": [[0.304, 0.304, 0.132], [0.371, 0.371, 0.475], [0.629, 0.629, 0.525], [0.970, 0.970, 0.809], [0.030, 0.030, 0.191], [0.127, 0.127, 0.715], [0.172, 0.172, 0.036], [0.210, 0.210, 0.383], [0.828, 0.828, 0.964], [0.790, 0.790, 0.617], [0.696, 0.696, 0.868], [0.535, 0.535, 0.343], [0.465, 0.465, 0.657], [0.873, 0.873, 0.285], [0.500, 0.500, 0.000]]
}

---

7.
{
  "formula": "Hf2N2O",
  "functional": "PBE",
  "state": "optimized geometry",
  "energy_ry_per_atom": -0.7757,
  "space_group": "P1, No. 1",
  "lattice_angstrom": [[-2.532, -0.111, 8.331], [-6.379, -3.267, -4.992], [7.209, -4.850, -0.926]],
  "species": ["N", "Hf", "Hf", "N", "N", "N", "N", "Hf", "O", "O", "Hf", "Hf", "O", "Hf", "N", "Hf", "O", "Hf", "N", "Hf", "Hf", "N", "Hf", "O", "N", "N", "N", "O", "Hf", "Hf", "O", "Hf", "Hf", "N", "O", "N", "N", "Hf", "N", "N"],
  "frac_coords": [[0.051, 0.773, 0.538], [0.747, 0.454, 0.718], [0.748, 0.962, 0.212], [0.730, 0.742, 0.274], [0.480, 0.724, 0.948], [0.769, 0.221, 0.737], [0.741, 0.516, 0.966], [0.509, 0.007, 0.509], [0.016, 0.965, 0.241], [0.451, 0.986, 0.724], [0.508, 0.499, 0.998], [0.788, 0.757, 0.532], [0.227, 0.776, 0.257], [0.725, 0.259, 0.976], [0.950, 0.225, 0.459], [0.998, 0.501, 0.501], [0.759, 0.724, 0.770], [0.964, 0.712, 0.255], [0.273, 0.264, 0.729], [0.544, 0.793, 0.759], [0.214, 0.249, 0.467], [0.986, 0.033, 0.762], [0.005, 0.010, 0.997], [0.272, 0.532, 0.547], [0.235, 0.274, 0.225], [0.972, 0.459, 0.231], [0.032, 0.543, 0.771], [0.260, 0.491, 0.038], [0.252, 0.533, 0.286], [0.454, 0.211, 0.242], [0.729, 0.469, 0.457], [0.031, 0.282, 0.739], [0.278, 0.744, 0.021], [0.517, 0.276, 0.050], [0.546, 0.007, 0.276], [0.229, 0.956, 0.995], [0.771, 0.040, 0.008], [0.245, 0.039, 0.788], [0.465, 0.234, 0.507], [0.529, 0.759, 0.490]]
}

---

8.
{
  "formula": "Hf2N2O",
  "functional": "PBE",
  "state": "optimized geometry",
  "e_ij_max_c_m2": 2.1,
  "energy_ry_per_atom": -0.7707,
  "space_group": "P1, No. 1",
  "lattice_angstrom": [[-2.289, 1.675, -4.606], [1.043, -5.802, -2.640], [-5.813, -3.539, 1.557]],
  "species": ["N", "O", "Hf", "Hf", "Hf", "N", "O", "N", "Hf", "O", "N", "N", "Hf", "N", "Hf", "O", "Hf", "N", "N", "Hf"],
  "frac_coords": [[0.043, 0.244, 0.638], [0.554, 0.290, 0.492], [0.214, 0.822, 0.342], [0.197, 0.322, 0.349], [0.701, 0.372, 0.153], [0.550, 0.952, 0.866], [0.028, 0.752, 0.642], [0.925, 0.083, 0.305], [0.760, 0.009, 0.601], [0.061, 0.900, 0.004], [0.428, 0.615, 0.180], [0.527, 0.773, 0.525], [0.310, 0.692, 0.869], [0.543, 0.432, 0.867], [0.777, 0.503, 0.615], [0.048, 0.419, 0.993], [0.711, 0.870, 0.153], [0.926, 0.581, 0.314], [0.422, 0.110, 0.195], [0.275, 0.184, 0.897]]
}

---

| no. | calculated volume (A^3/atom) | formation enthalpy at 0 K (eV/atom) |
| --- | --- | --- |
| 1 | 12.80 | -2.3899 |
| 2 | 12.82 | -2.3837 |
| 3 | 14.09 | -2.3029 |
| 4 | 14.14 | -2.9509 |
| 5 | 12.82 | -2.3860 |
| 6 | 11.96 | -2.3164 |
| 7 | 12.81 | -2.3841 |
| 8 | 11.87 | -2.3168 |